1.
The following is a GGA-PBE calculation of a relaxed structure of Nd2PbS4, from the Materials Project database.

Structure (CIF):
```
data_Nd2PbS4
_cell_length_a 7.517
_cell_length_b 7.517
_cell_length_c 7.517
_cell_angle_alpha 109.41
_cell_angle_beta 109.41
_cell_angle_gamma 109.59
_symmetry_space_group_name_H-M 'P 1'
_symmetry_Int_Tables_number 1
loop_
_symmetry_equiv_pos_as_xyz
'x,y,z'
loop_
_atom_site_label
_atom_site_type_symbol
_atom_site_fract_x
_atom_site_fract_y
_atom_site_fract_z
S1 S 0.730 0.135 0.748
S2 S 0.387 0.983 0.252
S3 S 0.233 0.137 0.752
S4 S 0.385 0.480 0.248
S5 S 0.863 0.615 0.096
S6 S 0.520 0.767 0.904
S7 S 0.865 0.613 0.596
S8 S 0.017 0.270 0.404
Nd1 Nd 0.756 0.875 0.381
Nd2 Nd 0.625 0.244 0.119
Nd3 Nd 0.125 0.506 0.881
Nd4 Nd 0.494 0.375 0.619
Pb1 Pb 0.250 0.750 0.500
Pb2 Pb 0.000 0.000 0.000
```

Computed properties:
**Maximum piezoelectric response**: 0.51 C/m²


2.
The following is a GGA-PBE calculation of a relaxed structure of Nd2Si2PbS8, from the Materials Project database.

Structure (CIF):
```
data_Nd2Si2PbS8
_cell_length_a 9.053
_cell_length_b 9.053
_cell_length_c 10.243
_cell_angle_alpha 65.20
_cell_angle_beta 65.20
_cell_angle_gamma 60.32
_symmetry_space_group_name_H-M 'P 1'
_symmetry_Int_Tables_number 1
loop_
_symmetry_equiv_pos_as_xyz
'x,y,z'
loop_
_atom_site_label
_atom_site_type_symbol
_atom_site_fract_x
_atom_site_fract_y
_atom_site_fract_z
S1 S 0.612 0.282 0.564
S2 S 0.913 0.400 0.240
S3 S 0.790 0.533 0.571
S4 S 0.714 0.398 0.947
S5 S 0.398 0.714 0.447
S6 S 0.533 0.790 0.071
S7 S 0.438 0.226 0.947
S8 S 0.098 0.566 0.760
S9 S 0.282 0.612 0.064
S10 S 0.566 0.098 0.260
S11 S 0.111 0.068 0.046
S12 S 0.400 0.913 0.740
S13 S 0.886 0.976 0.927
S14 S 0.226 0.438 0.447
S15 S 0.976 0.886 0.427
S16 S 0.068 0.111 0.546
Pb1 Pb 0.929 0.749 0.250
Pb2 Pb 0.749 0.929 0.750
Si1 Si 0.170 0.652 0.521
Si2 Si 0.333 0.846 0.978
Si3 Si 0.846 0.333 0.478
Si4 Si 0.652 0.170 0.021
Nd1 Nd 0.439 0.557 0.753
Nd2 Nd 0.252 0.061 0.248
Nd3 Nd 0.557 0.439 0.253
Nd4 Nd 0.061 0.252 0.748
```


3.
The following is a GGA-PBE calculation of a relaxed structure of Nd2PbSe4, from the Materials Project database.

Structure (CIF):
```
data_Nd2PbSe4
_cell_length_a 7.840
_cell_length_b 7.840
_cell_length_c 7.840
_cell_angle_alpha 109.42
_cell_angle_beta 109.42
_cell_angle_gamma 109.58
_symmetry_space_group_name_H-M 'P 1'
_symmetry_Int_Tables_number 1
loop_
_symmetry_equiv_pos_as_xyz
'x,y,z'
loop_
_atom_site_label
_atom_site_type_symbol
_atom_site_fract_x
_atom_site_fract_y
_atom_site_fract_z
Nd1 Nd 0.256 0.875 0.881
Nd2 Nd 0.125 0.006 0.381
Nd3 Nd 0.625 0.744 0.619
Nd4 Nd 0.994 0.375 0.119
Se1 Se 0.365 0.268 0.248
Se2 Se 0.518 0.115 0.748
Se3 Se 0.230 0.482 0.597
Se4 Se 0.885 0.633 0.403
Se5 Se 0.732 0.980 0.097
Se6 Se 0.020 0.117 0.752
Se7 Se 0.883 0.635 0.903
Se8 Se 0.367 0.770 0.252
Pb1 Pb 0.500 0.500 0.000
Pb2 Pb 0.750 0.250 0.500
```


4.
The following is a GGA-PBE calculation of a relaxed structure of Nd2Zn5Pb, from the Materials Project database.

Structure (CIF):
```
data_Nd2Zn5Pb
_cell_length_a 8.640
_cell_length_b 8.640
_cell_length_c 9.147
_cell_angle_alpha 90.00
_cell_angle_beta 90.00
_cell_angle_gamma 149.80
_symmetry_space_group_name_H-M 'P 1'
_symmetry_Int_Tables_number 1
loop_
_symmetry_equiv_pos_as_xyz
'x,y,z'
loop_
_atom_site_label
_atom_site_type_symbol
_atom_site_fract_x
_atom_site_fract_y
_atom_site_fract_z
Zn1 Zn 0.814 0.186 0.391
Zn2 Zn 0.186 0.814 0.609
Zn3 Zn 0.342 0.658 0.985
Zn4 Zn 0.658 0.342 0.015
Zn5 Zn 0.814 0.186 0.109
Zn6 Zn 0.342 0.658 0.515
Zn7 Zn 0.658 0.342 0.485
Zn8 Zn 0.608 0.392 0.750
Zn9 Zn 0.186 0.814 0.891
Zn10 Zn 0.392 0.608 0.250
Nd1 Nd 0.795 0.205 0.750
Nd2 Nd 0.000 0.000 0.000
Nd3 Nd 0.000 0.000 0.500
Nd4 Nd 0.205 0.795 0.250
Pb1 Pb 0.446 0.554 0.750
Pb2 Pb 0.554 0.446 0.250
```


5.
The following is a GGA-PBE calculation of a relaxed structure of NdPd, from the Materials Project database.

Structure (CIF):
```
data_NdPd
_cell_length_a 3.869
_cell_length_b 4.677
_cell_length_c 5.799
_cell_angle_alpha 90.00
_cell_angle_beta 109.49
_cell_angle_gamma 90.00
_symmetry_space_group_name_H-M 'P 1'
_symmetry_Int_Tables_number 1
loop_
_symmetry_equiv_pos_as_xyz
'x,y,z'
loop_
_atom_site_label
_atom_site_type_symbol
_atom_site_fract_x
_atom_site_fract_y
_atom_site_fract_z
Nd1 Nd 0.136 0.750 0.272
Nd2 Nd 0.864 0.250 0.728
Pd1 Pd 0.414 0.750 0.827
Pd2 Pd 0.586 0.250 0.173
```


6.
The following is a GGA-PBE calculation of a relaxed structure of NdPd2, from the Materials Project database.

Structure (CIF):
```
data_NdPd2
_cell_length_a 3.968
_cell_length_b 3.968
_cell_length_c 5.243
_cell_angle_alpha 112.24
_cell_angle_beta 112.24
_cell_angle_gamma 90.00
_symmetry_space_group_name_H-M 'P 1'
_symmetry_Int_Tables_number 1
loop_
_symmetry_equiv_pos_as_xyz
'x,y,z'
loop_
_atom_site_label
_atom_site_type_symbol
_atom_site_fract_x
_atom_site_fract_y
_atom_site_fract_z
Nd1 Nd 0.000 0.000 0.000
Pd1 Pd 0.750 0.250 0.500
Pd2 Pd 0.250 0.750 0.500
```


7.
The following is a GGA-PBE calculation of a relaxed structure of Nd3Pd4, from the Materials Project database.

Structure (CIF):
```
data_Nd3Pd4
_cell_length_a 8.183
_cell_length_b 8.183
_cell_length_c 8.183
_cell_angle_alpha 114.49
_cell_angle_beta 114.49
_cell_angle_gamma 114.49
_symmetry_space_group_name_H-M 'P 1'
_symmetry_Int_Tables_number 1
loop_
_symmetry_equiv_pos_as_xyz
'x,y,z'
loop_
_atom_site_label
_atom_site_type_symbol
_atom_site_fract_x
_atom_site_fract_y
_atom_site_fract_z
Pd1 Pd 0.447 0.941 0.777
Pd2 Pd 0.553 0.059 0.223
Pd3 Pd 0.223 0.553 0.059
Pd4 Pd 0.500 0.500 0.500
Pd5 Pd 0.941 0.777 0.447
Pd6 Pd 0.000 0.000 0.000
Pd7 Pd 0.059 0.223 0.553
Pd8 Pd 0.777 0.447 0.941
Nd1 Nd 0.721 0.973 0.596
Nd2 Nd 0.404 0.279 0.027
Nd3 Nd 0.027 0.404 0.279
Nd4 Nd 0.973 0.596 0.721
Nd5 Nd 0.279 0.027 0.404
Nd6 Nd 0.596 0.721 0.973
```


8.
The following is a GGA-PBE calculation of a relaxed structure of NdPd3S4, from the Materials Project database.

Structure (CIF):
```
data_NdPd3S4
_cell_length_a 6.769
_cell_length_b 6.769
_cell_length_c 6.769
_cell_angle_alpha 90.00
_cell_angle_beta 90.00
_cell_angle_gamma 90.00
_symmetry_space_group_name_H-M 'P 1'
_symmetry_Int_Tables_number 1
loop_
_symmetry_equiv_pos_as_xyz
'x,y,z'
loop_
_atom_site_label
_atom_site_type_symbol
_atom_site_fract_x
_atom_site_fract_y
_atom_site_fract_z
S1 S 0.250 0.250 0.250
S2 S 0.250 0.250 0.750
S3 S 0.250 0.750 0.250
S4 S 0.750 0.750 0.250
S5 S 0.750 0.750 0.750
S6 S 0.750 0.250 0.750
S7 S 0.250 0.750 0.750
S8 S 0.750 0.250 0.250
Pd1 Pd 0.500 0.750 0.000
Pd2 Pd 0.500 0.250 0.000
Pd3 Pd 0.750 0.000 0.500
Pd4 Pd 0.000 0.500 0.250
Pd5 Pd 0.250 0.000 0.500
Pd6 Pd 0.000 0.500 0.750
Nd1 Nd 0.500 0.500 0.500
Nd2 Nd 0.000 0.000 0.000
```


9.
The following is a GGA-PBE calculation of a relaxed structure of NdSb2Pd, from the Materials Project database.

Structure (CIF):
```
data_NdSb2Pd
_cell_length_a 4.486
_cell_length_b 4.486
_cell_length_c 9.954
_cell_angle_alpha 90.00
_cell_angle_beta 90.00
_cell_angle_gamma 90.00
_symmetry_space_group_name_H-M 'P 1'
_symmetry_Int_Tables_number 1
loop_
_symmetry_equiv_pos_as_xyz
'x,y,z'
loop_
_atom_site_label
_atom_site_type_symbol
_atom_site_fract_x
_atom_site_fract_y
_atom_site_fract_z
Pd1 Pd 0.000 0.000 0.000
Pd2 Pd 0.500 0.500 0.000
Sb1 Sb 0.000 0.500 0.155
Sb2 Sb 0.500 0.000 0.845
Sb3 Sb 0.000 0.000 0.500
Sb4 Sb 0.500 0.500 0.500
Nd1 Nd 0.500 0.000 0.247
Nd2 Nd 0.000 0.500 0.753
```

Computed properties:
**Polymorph energy (0 for the lowest one)**: 0 meV per atom


10.
The following is a GGA-PBE calculation of a relaxed structure of NdSb2Pd, from the Materials Project database.

Structure (CIF):
```
data_NdSb2Pd
_cell_length_a 5.782
_cell_length_b 5.782
_cell_length_c 6.196
_cell_angle_alpha 90.00
_cell_angle_beta 90.00
_cell_angle_gamma 90.00
_symmetry_space_group_name_H-M 'P 1'
_symmetry_Int_Tables_number 1
loop_
_symmetry_equiv_pos_as_xyz
'x,y,z'
loop_
_atom_site_label
_atom_site_type_symbol
_atom_site_fract_x
_atom_site_fract_y
_atom_site_fract_z
Pd1 Pd 0.750 0.250 0.000
Pd2 Pd 0.250 0.750 0.000
Nd1 Nd 0.250 0.250 0.330
Nd2 Nd 0.750 0.750 0.670
Sb1 Sb 0.750 0.750 0.162
Sb2 Sb 0.250 0.250 0.838
Sb3 Sb 0.250 0.750 0.500
Sb4 Sb 0.750 0.250 0.500
```

Computed properties:
**Polymorph energy (0 for the lowest one)**: 364 meV per atom


11.
The following is a GGA-PBE calculation of a relaxed structure of Nd3Si6Pd20, from the Materials Project database.

Structure (CIF):
```
data_Nd3Si6Pd20
_cell_length_a 8.774
_cell_length_b 8.774
_cell_length_c 8.774
_cell_angle_alpha 60.00
_cell_angle_beta 60.00
_cell_angle_gamma 60.00
_symmetry_space_group_name_H-M 'P 1'
_symmetry_Int_Tables_number 1
loop_
_symmetry_equiv_pos_as_xyz
'x,y,z'
loop_
_atom_site_label
_atom_site_type_symbol
_atom_site_fract_x
_atom_site_fract_y
_atom_site_fract_z
Si1 Si 0.267 0.733 0.733
Si2 Si 0.267 0.267 0.733
Si3 Si 0.267 0.733 0.267
Si4 Si 0.733 0.733 0.267
Si5 Si 0.733 0.267 0.733
Si6 Si 0.733 0.267 0.267
Pd1 Pd 0.385 0.385 0.385
Pd2 Pd 0.653 0.000 0.347
Pd3 Pd 0.000 0.000 0.653
Pd4 Pd 0.653 0.347 0.000
Pd5 Pd 0.615 0.615 0.156
Pd6 Pd 0.347 0.653 0.000
Pd7 Pd 0.385 0.844 0.385
Pd8 Pd 0.615 0.615 0.615
Pd9 Pd 0.385 0.385 0.844
Pd10 Pd 0.000 0.653 0.000
Pd11 Pd 0.347 0.000 0.000
Pd12 Pd 0.000 0.347 0.000
Pd13 Pd 0.653 0.000 0.000
Pd14 Pd 0.844 0.385 0.385
Pd15 Pd 0.156 0.615 0.615
Pd16 Pd 0.347 0.000 0.653
Pd17 Pd 0.615 0.156 0.615
Pd18 Pd 0.000 0.347 0.653
Pd19 Pd 0.000 0.000 0.347
Pd20 Pd 0.000 0.653 0.347
Nd1 Nd 0.750 0.750 0.750
Nd2 Nd 0.250 0.250 0.250
Nd3 Nd 0.000 0.000 0.000
```


12.
The following is a GGA-PBE calculation of a relaxed structure of NdSnPd, from the Materials Project database.

Structure (CIF):
```
data_NdSnPd
_cell_length_a 4.718
_cell_length_b 7.529
_cell_length_c 8.062
_cell_angle_alpha 90.00
_cell_angle_beta 90.00
_cell_angle_gamma 90.00
_symmetry_space_group_name_H-M 'P 1'
_symmetry_Int_Tables_number 1
loop_
_symmetry_equiv_pos_as_xyz
'x,y,z'
loop_
_atom_site_label
_atom_site_type_symbol
_atom_site_fract_x
_atom_site_fract_y
_atom_site_fract_z
Nd1 Nd 0.750 0.512 0.298
Nd2 Nd 0.250 0.988 0.798
Nd3 Nd 0.750 0.012 0.202
Nd4 Nd 0.250 0.488 0.702
Sn1 Sn 0.750 0.188 0.588
Sn2 Sn 0.750 0.688 0.912
Sn3 Sn 0.250 0.812 0.412
Sn4 Sn 0.250 0.312 0.088
Pd1 Pd 0.250 0.701 0.085
Pd2 Pd 0.750 0.799 0.585
Pd3 Pd 0.750 0.299 0.915
Pd4 Pd 0.250 0.201 0.415
```


no.,calculated formation energy (kcal/mol of atoms)
1,-43.3
2,-35.4
3,-40.3
4,-8.9
5,-18.8
6,-12.3
7,-18.9
8,-26.8
9,-19.6
10,-11.2
11,-18.5
12,-20.9